Record 1
## CsNaSiO3 (PBE-GGA)

Data for an optimized crystal structure of CsNaSiO3.

**Electronic total energy**: -6.044 eV/atom
**SG**: No. 160
**Total magnetization**: 0.002 μB per cell

The structure in POSCAR format:
```
CsNaSiO3
1.0
6.1313 3.5399 4.8871
-6.1313 3.5399 4.8871
0.0000 -7.0798 4.8871
Cs Na Si O
6 6 6 18
direct
0.0000 0.0000 0.0000
0.1613 0.6577 0.6577
0.3178 0.3178 0.3178
0.6577 0.1613 0.6577
0.6577 0.6577 0.1613
0.6742 0.6742 0.6742
0.0275 0.2893 0.6582
0.0275 0.6582 0.2893
0.2893 0.0275 0.6582
0.2893 0.6582 0.0275
0.6582 0.0275 0.2893
0.6582 0.2893 0.0275
0.3306 0.3306 0.8683
0.3306 0.8683 0.3306
0.4485 0.9862 0.9862
0.8683 0.3306 0.3306
0.9862 0.4485 0.9862
0.9862 0.9862 0.4485
0.0100 0.0100 0.6350
0.0100 0.6350 0.0100
0.1584 0.3710 0.9461
0.1584 0.9461 0.3710
0.3055 0.3055 0.6822
0.3055 0.6822 0.3055
0.3710 0.1584 0.9461
0.3710 0.9461 0.1584
0.3843 0.8593 0.8593
0.4574 0.4574 0.9329
0.4574 0.9329 0.4574
0.6350 0.0100 0.0100
0.6822 0.3055 0.3055
0.8593 0.3843 0.8593
0.8593 0.8593 0.3843
0.9329 0.4574 0.4574
0.9461 0.1584 0.3710
0.9461 0.3710 0.1584
```



Record 2
## CsNaTiO3 (PBE-GGA)

Data for an optimized crystal structure of CsNaTiO3.

**Electronic total energy**: -6.563 eV/atom
**SG**: No. 63
**Total magnetization**: 0.000 μB per cell

The structure in POSCAR format:
```
CsNaTiO3
1.0
3.0376 -5.6972 0.0000
3.0376 5.6972 0.0000
0.0000 0.0000 5.6711
Cs Na Ti O
2 2 2 6
direct
0.2323 0.7677 0.7500
0.7677 0.2323 0.2500
0.0738 0.9262 0.2500
0.9262 0.0738 0.7500
0.4511 0.5489 0.2500
0.5489 0.4511 0.7500
0.2893 0.2893 0.0000
0.2893 0.2893 0.5000
0.2958 0.7042 0.2500
0.7042 0.2958 0.7500
0.7107 0.7107 0.0000
0.7107 0.7107 0.5000
```